The following is a PBE-GGA calculation of CdSeO3 after structural relaxation, from the Materials Project database.

The calculation puts the total energy at -4.857 eV/atom. As for the space group: P2_1/c. The MP2020-corrected energy is -5.2689 eV per atom.

Geometry as POSCAR:
```
CdSeO3
1.0
5.8404 0.0000 0.0000
0.0000 13.1503 0.0000
-1.6990 0.0000 8.6674
Cd Se O
8 8 24
Direct
0.1218 0.2444 0.1488 Cd
0.1218 0.2556 0.6488 Cd
0.3185 0.5771 0.1133 Cd
0.3185 0.9229 0.6133 Cd
0.6815 0.0771 0.3867 Cd
0.6815 0.4229 0.8867 Cd
0.8782 0.7444 0.3512 Cd
0.8782 0.7556 0.8512 Cd
0.0865 0.5251 0.7355 Se
0.0865 0.9749 0.2355 Se
0.4709 0.6696 0.5188 Se
0.4709 0.8304 0.0188 Se
0.5291 0.1696 0.9812 Se
0.5291 0.3304 0.4812 Se
0.9135 0.0251 0.7645 Se
0.9135 0.4749 0.2645 Se
0.0381 0.5950 0.2723 O
0.0381 0.9050 0.7723 O
0.0975 0.0793 0.6540 O
0.0975 0.4207 0.1540 O
0.2562 0.7367 0.9965 O
0.2562 0.7633 0.4965 O
0.2759 0.2377 0.9143 O
0.2759 0.2623 0.4143 O
0.3426 0.5197 0.8698 O
0.3426 0.9803 0.3698 O
0.4659 0.1503 0.1628 O
0.4659 0.3497 0.6628 O
0.5341 0.6503 0.3372 O
0.5341 0.8497 0.8372 O
0.6574 0.0197 0.6302 O
0.6574 0.4803 0.1302 O
0.7241 0.7377 0.5857 O
0.7241 0.7623 0.0857 O
0.7438 0.2367 0.5035 O
0.7438 0.2633 0.0035 O
0.9025 0.5793 0.8460 O
0.9025 0.9207 0.3460 O
0.9619 0.0950 0.2277 O
0.9619 0.4050 0.7277 O
```

The following is a PBE-GGA calculation of Ba3V2N4 after structural relaxation, from the Materials Project database.

As for the energy above the most stable polymorph in this dataset: 0.0000 eV/atom. The calculation puts the total energy at -7.240 eV/atom. As for the space group: Imma. The value obtained for the total magnetization is 0.02 μB per formula unit. The MP2020-corrected energy is -7.4009 eV per atom.

Geometry as POSCAR:
```
Ba3V2N4
1.0
-2.9538 8.1613 3.9282
2.9538 -8.1613 3.9282
2.9538 8.1613 -3.9282
Ba V N
6 4 8
Direct
0.1756 0.4256 0.7500 Ba
0.1793 0.0671 0.1123 Ba
0.4548 0.0671 0.3877 Ba
0.5452 0.9329 0.6123 Ba
0.8207 0.9329 0.8877 Ba
0.8244 0.5744 0.2500 Ba
0.1015 0.6421 0.4593 V
0.3172 0.3579 0.9593 V
0.6828 0.6421 0.0407 V
0.8985 0.3579 0.5407 V
0.1591 0.5841 0.5750 N
0.1656 0.0000 0.6656 N
0.1656 0.5000 0.1656 N
0.4909 0.4159 0.0750 N
0.5091 0.5841 0.9250 N
0.8344 0.0000 0.3344 N
0.8344 0.5000 0.8344 N
0.8409 0.4159 0.4250 N
```